Entry 1:
Computed, not measured: a relaxed structure of LaCo8P5 at the r2SCAN level of DFT.

Calculated values
Calculated density   7.4 g/cm3

a = 3.579 Å, b = 9.209 Å, c = 10.416 Å
α = 90.00°, β = 90.00°, γ = 90.00°
Positions (direct):
1 Co 0.000 0.111 0.757
2 Co 0.500 0.303 0.146
3 P 0.500 0.661 0.190
4 Co 0.000 0.697 0.646
5 Co 0.500 0.843 0.500
6 Co 0.500 0.480 0.330
7 P 0.000 0.933 0.380
8 Co 0.500 0.480 0.670
9 P 0.500 0.067 0.120
10 P 0.000 0.339 0.310
11 Co 0.500 0.889 0.743
12 Co 0.000 0.520 0.830
13 P 0.500 0.661 0.810
14 Co 0.000 0.111 0.243
15 Co 0.000 0.458 0.500
16 Co 0.500 0.889 0.257
17 Co 0.000 0.520 0.170
18 P 0.500 0.609 0.500
19 P 0.000 0.933 0.620
20 Co 0.000 0.157 0.000
21 La 0.000 0.825 0.000
22 Co 0.500 0.542 0.000
23 Co 0.000 0.697 0.354
24 P 0.500 0.067 0.880
25 P 0.000 0.339 0.690
26 P 0.000 0.391 0.000
27 La 0.500 0.175 0.500
28 Co 0.500 0.303 0.854



Entry 2:
Computed, not measured: a relaxed structure of LaCoSi2 at the r2SCAN level of DFT.

Calculated values
Calculated density   5.9 g/cm3

a = 8.544 Å, b = 8.544 Å, c = 4.084 Å
α = 90.00°, β = 90.00°, γ = 151.32°
Positions (direct):
1 Si 0.044 0.956 0.750
2 La 0.609 0.391 0.250
3 Si 0.750 0.250 0.750
4 Si 0.956 0.044 0.250
5 Co 0.182 0.818 0.750
6 Co 0.818 0.182 0.250
7 La 0.391 0.609 0.750
8 Si 0.250 0.750 0.250



The records above give, respectively, ΔH_f (0 K) values of -0.647, -0.694 eV per atom.